[1]
Compound: Li2V3F8
Source: Materials Project
Functional: GGA+U
Structure: relaxed

Cell and atoms, written as POSCAR:
```
Li2V3F8
1.0
5.370 -3.138 0.000
5.370 3.138 0.000
3.536 0.000 5.117
Li V F
2 3 8
Direct
0.141 0.141 0.141
0.859 0.859 0.859
0.500 0.000 0.500
0.500 0.500 0.000
0.000 0.500 0.500
0.570 0.097 0.097
0.097 0.097 0.570
0.097 0.570 0.097
0.596 0.596 0.596
0.404 0.404 0.404
0.903 0.430 0.903
0.903 0.903 0.430
0.430 0.903 0.903
```

Results
Calculated density in g/cm³: 3.07
SG: R-3m, No. 166
ΔH_f (0 K) in eV per atom: -2.96
M_tot in μB/f.u.: 9.0


[2]
Compound: FeO2
Source: Materials Project
Functional: GGA+U
Structure: relaxed

Cell and atoms, written as POSCAR:
```
FeO2
1.0
-2.991 3.090 3.822
2.991 -3.090 3.822
2.991 3.090 -3.822
Fe O
4 8
Direct
0.640 0.890 0.750
0.000 0.500 0.500
0.500 0.500 0.000
0.360 0.110 0.250
0.262 0.749 0.514
0.735 0.749 0.986
0.754 0.724 0.471
0.754 0.283 0.029
0.246 0.717 0.971
0.246 0.276 0.529
0.265 0.251 0.014
0.738 0.251 0.486
```

Results
Calculated density in g/cm³: 4.13
SG: Imma, No. 74
ΔH_f (0 K) in eV per atom: -1.05
M_tot in μB/f.u.: 4.0


[3]
Compound: Li2CoSiO4
Source: Materials Project
Functional: GGA+U
Structure: relaxed

Cell and atoms, written as POSCAR:
```
Li2CoSiO4
1.0
5.405 0.000 0.000
0.000 6.043 0.000
0.000 0.739 10.714
Li Co Si O
8 4 4 16
Direct
0.317 0.027 0.830
0.183 0.027 0.330
0.179 0.228 0.575
0.321 0.228 0.075
0.679 0.772 0.925
0.821 0.772 0.425
0.817 0.973 0.670
0.683 0.973 0.170
0.173 0.541 0.834
0.673 0.459 0.666
0.327 0.541 0.334
0.827 0.459 0.166
0.815 0.253 0.913
0.685 0.253 0.413
0.315 0.747 0.587
0.185 0.747 0.087
0.685 0.073 0.829
0.815 0.073 0.329
0.121 0.237 0.922
0.379 0.237 0.422
0.813 0.255 0.552
0.290 0.491 0.664
0.687 0.255 0.052
0.210 0.491 0.164
0.790 0.509 0.836
0.313 0.745 0.948
0.710 0.509 0.336
0.187 0.745 0.448
0.621 0.763 0.578
0.879 0.763 0.078
0.185 0.927 0.671
0.315 0.927 0.171
```

Results
Calculated density in g/cm³: 3.13
SG: P2_1/c, No. 14
ΔH_f (0 K) in eV per atom: -2.47
M_tot in μB/f.u.: 3.0


[4]
Compound: MnFe2P2O18
Source: Materials Project
Functional: GGA+U
Structure: relaxed

Cell and atoms, written as POSCAR:
```
MnFe2P2O18
1.0
5.325 0.000 0.000
-2.495 6.775 0.000
-1.712 -1.857 9.781
Mn Fe P O
1 2 2 18
Direct
0.500 0.500 0.500
0.000 0.000 0.000
0.000 0.500 0.000
0.491 0.407 0.178
0.509 0.593 0.822
0.565 0.391 0.328
0.435 0.609 0.672
0.753 0.508 0.128
0.247 0.492 0.872
0.360 0.184 0.093
0.640 0.816 0.907
0.298 0.522 0.156
0.702 0.478 0.844
0.000 0.939 0.170
0.000 0.061 0.830
0.307 0.152 0.539
0.693 0.848 0.461
0.196 0.488 0.421
0.804 0.512 0.579
0.628 0.898 0.351
0.372 0.102 0.649
0.134 0.801 0.008
0.866 0.199 0.992
```

Results
Calculated density in g/cm³: 2.43
SG: P-1, No. 2
ΔH_f (0 K) in eV per atom: -0.78
M_tot in μB/f.u.: 15.0


[5]
Compound: LiMn8O16
Source: Materials Project
Functional: GGA+U
Structure: relaxed

Cell and atoms, written as POSCAR:
```
LiMn8O16
1.0
-0.304 4.592 -3.719
-6.597 -3.421 -3.686
-7.071 5.584 7.472
Li Mn O
2 16 32
Direct
0.000 0.624 0.500
0.500 0.376 0.000
0.250 0.500 0.250
0.500 0.750 0.373
0.750 0.000 0.500
0.000 0.248 0.376
0.000 0.248 0.624
0.250 0.000 0.500
0.250 0.500 0.750
0.500 0.750 0.627
0.500 0.752 0.876
0.750 0.500 0.750
0.750 0.000 0.000
0.000 0.250 0.873
0.000 0.250 0.127
0.250 0.000 0.000
0.500 0.752 0.124
0.750 0.500 0.250
0.000 0.481 0.367
0.285 0.738 0.250
0.279 0.762 0.500
0.500 0.517 0.358
0.500 0.984 0.609
0.500 0.984 0.391
0.721 0.762 0.500
0.715 0.738 0.250
0.782 0.233 0.500
0.785 0.262 0.750
0.000 0.014 0.391
0.000 0.014 0.609
0.000 0.483 0.858
0.000 0.481 0.633
0.215 0.262 0.750
0.218 0.233 0.500
0.285 0.738 0.750
0.282 0.767 0.000
0.500 0.517 0.642
0.500 0.519 0.867
0.500 0.986 0.109
0.500 0.986 0.891
0.718 0.767 0.000
0.715 0.738 0.750
0.779 0.238 0.000
0.785 0.262 0.250
0.000 0.016 0.891
0.000 0.016 0.109
0.000 0.483 0.142
0.215 0.262 0.250
0.221 0.238 0.000
0.500 0.519 0.133
```

Results
Calculated density in g/cm³: 4.06
SG: Pmmn, No. 59
ΔH_f (0 K) in eV per atom: -1.85
M_tot in μB/f.u.: 25.0


[6]
Compound: V3As2O9
Source: Materials Project
Functional: GGA+U
Structure: relaxed

Cell and atoms, written as POSCAR:
```
V3As2O9
1.0
2.313 -2.622 -4.251
5.079 2.012 -0.670
3.682 -4.504 2.984
V As O
3 2 9
Direct
0.577 0.577 0.696
0.408 0.408 0.287
0.979 0.979 0.526
0.182 0.182 0.814
0.818 0.818 0.187
0.798 0.798 0.702
0.215 0.215 0.304
0.367 0.367 0.623
0.630 0.630 0.370
0.494 0.494 0.018
0.890 0.272 0.689
0.272 0.890 0.689
0.112 0.728 0.315
0.728 0.112 0.315
```

Results
Calculated density in g/cm³: 4.08
SG: Cm, No. 8
ΔH_f (0 K) in eV per atom: -2.16


[7]
Compound: Li9Mn7O16
Source: Materials Project
Functional: GGA+U
Structure: relaxed

Cell and atoms, written as POSCAR:
```
Li9Mn7O16
1.0
-7.238 0.207 -5.813
-7.174 -4.933 -3.228
-3.427 2.097 4.255
Li Mn O
9 7 16
Direct
0.134 0.625 0.248
0.866 0.375 0.752
0.250 0.250 0.999
0.000 0.000 0.500
0.375 0.866 0.752
0.500 0.500 0.500
0.625 0.134 0.248
0.750 0.750 0.001
0.500 0.500 0.000
0.000 0.000 0.000
0.131 0.628 0.753
0.750 0.750 0.500
0.250 0.250 0.500
0.869 0.372 0.247
0.628 0.131 0.753
0.372 0.869 0.247
0.245 0.768 0.236
0.003 0.503 0.728
0.372 0.372 0.976
0.125 0.125 0.474
0.503 0.003 0.728
0.623 0.623 0.481
0.768 0.245 0.236
0.871 0.871 0.984
0.997 0.497 0.272
0.755 0.232 0.764
0.129 0.129 0.016
0.875 0.875 0.526
0.232 0.755 0.764
0.377 0.377 0.519
0.497 0.997 0.272
0.628 0.628 0.024
```

Results
Calculated density in g/cm³: 3.93
SG: C2/m, No. 12
ΔH_f (0 K) in eV per atom: -2.12
M_tot in μB/f.u.: 26.0


[8]
Compound: Li3FePCO7
Source: Materials Project
Functional: GGA+U
Structure: relaxed

Cell and atoms, written as POSCAR:
```
Li3FePCO7
1.0
-4.596 -3.349 -3.024
-2.730 -3.728 8.277
-6.851 4.984 4.892
Li Fe P C O
12 4 4 4 28
Direct
0.249 0.101 0.564
0.251 0.101 0.064
0.487 0.284 0.740
0.013 0.284 0.240
0.746 0.351 0.934
0.754 0.351 0.434
0.246 0.649 0.566
0.254 0.649 0.066
0.987 0.716 0.760
0.513 0.716 0.260
0.749 0.899 0.936
0.751 0.899 0.436
0.000 0.267 0.738
0.500 0.267 0.238
0.500 0.733 0.762
0.000 0.733 0.262
0.251 0.409 0.936
0.249 0.409 0.436
0.751 0.591 0.564
0.749 0.591 0.064
0.753 0.041 0.628
0.747 0.041 0.128
0.253 0.959 0.872
0.247 0.959 0.372
0.758 0.071 0.988
0.742 0.071 0.488
0.247 0.106 0.765
0.768 0.152 0.672
0.253 0.106 0.265
0.732 0.152 0.172
0.059 0.312 0.926
0.440 0.309 0.935
0.060 0.309 0.435
0.441 0.312 0.426
0.747 0.424 0.697
0.252 0.422 0.590
0.753 0.424 0.197
0.248 0.422 0.090
0.752 0.578 0.910
0.247 0.576 0.803
0.748 0.578 0.410
0.253 0.576 0.303
0.940 0.691 0.565
0.559 0.688 0.574
0.941 0.688 0.074
0.560 0.691 0.065
0.268 0.848 0.828
0.747 0.894 0.735
0.232 0.848 0.328
0.753 0.894 0.235
0.258 0.929 0.512
0.242 0.929 0.012
```

Results
Calculated density in g/cm³: 2.87
SG: P2_1/c, No. 14
ΔH_f (0 K) in eV per atom: -2.32
M_tot in μB/f.u.: 4.0